Y5Si3 | PBE-GGA | relaxed

Values from the calculation:
* crystal system: hexagonal
* calculated volume: 395.9 Å³ per cell
* ΔE_f: -693 meV/atom
* space-group type: P6_3/mcm

Unit cell a=8.459 b=8.459 c=6.388 alpha=90.00 beta=90.00 gamma=120.00
Positions (direct):
Y  0.000  0.757  0.750
Y  0.000  0.243  0.250
Y  0.757  0.757  0.250
Y  0.757  0.000  0.750
Y  0.243  0.243  0.750
Y  0.243  0.000  0.250
Y  0.333  0.667  0.500
Y  0.667  0.333  0.000
Y  0.667  0.333  0.500
Y  0.333  0.667  0.000
Si  0.394  0.000  0.750
Si  0.394  0.394  0.250
Si  0.000  0.606  0.250
Si  0.000  0.394  0.750
Si  0.606  0.606  0.750
Si  0.606  0.000  0.250

Y4ZrSi3 | PBE-GGA | relaxed

Values from the calculation:
* crystal system: trigonal
* calculated volume: 376.1 Å³ per cell
* ΔE_f: -687 meV/atom
* total moment: 0.0 Bohr magnetons per cell
* space-group type: P-31m

Unit cell a=8.369 b=8.369 c=6.200 alpha=90.00 beta=90.00 gamma=120.00
Positions (direct):
Y  0.667  0.333  0.000
Y  0.333  0.667  0.000
Y  0.000  0.754  0.257
Y  0.246  0.246  0.257
Y  0.754  0.000  0.257
Y  0.000  0.246  0.743
Y  0.754  0.754  0.743
Y  0.246  0.000  0.743
Zr  0.333  0.667  0.500
Zr  0.667  0.333  0.500
Si  0.000  0.398  0.276
Si  0.602  0.602  0.276
Si  0.398  0.000  0.276
Si  0.000  0.602  0.724
Si  0.398  0.398  0.724
Si  0.602  0.000  0.724

Zn3Si | PBE-GGA | relaxed

Values from the calculation:
* crystal system: tetragonal
* calculated volume: 61.0 Å³ per cell
* ΔE_f: 197 meV/atom
* total moment: 0.0 Bohr magnetons per cell
* space-group type: I4/mmm

Unit cell a=4.832 b=4.832 c=4.832 alpha=132.01 beta=132.01 gamma=70.21
Positions (direct):
Zn  0.750  0.250  0.500
Zn  0.250  0.750  0.500
Zn  0.500  0.500  0.000
Si  0.000  0.000  0.000

Zr5Zn4Si4 | PBE-GGA | relaxed

Values from the calculation:
* crystal system: tetragonal
* calculated volume: 225.6 Å³ per cell
* ΔE_f: -581 meV/atom
* total moment: 0.0 Bohr magnetons per cell
* space-group type: I4/m

Unit cell a=7.904 b=7.904 c=7.904 alpha=93.38 beta=93.38 gamma=151.91
Positions (direct):
Zr  0.371  0.299  0.669
Zr  0.629  0.701  0.331
Zr  0.701  0.371  0.072
Zr  0.299  0.629  0.928
Zr  0.000  0.000  0.000
Zn  0.105  0.414  0.519
Zn  0.895  0.586  0.481
Zn  0.586  0.105  0.690
Zn  0.414  0.895  0.310
Si  0.243  0.059  0.303
Si  0.757  0.941  0.697
Si  0.941  0.243  0.184
Si  0.059  0.757  0.816

Zr3Si2 | PBE-GGA | relaxed

Values from the calculation:
* crystal system: tetragonal
* calculated volume: 188.5 Å³ per cell
* ΔE_f: -855 meV/atom
* space-group type: P4/mbm

Unit cell a=7.137 b=7.137 c=3.700 alpha=90.00 beta=90.00 gamma=90.00
Positions (direct):
Zr  0.674  0.174  0.500
Zr  0.326  0.826  0.500
Zr  0.174  0.326  0.500
Zr  0.826  0.674  0.500
Zr  0.000  0.000  0.000
Zr  0.500  0.500  0.000
Si  0.122  0.622  0.000
Si  0.878  0.378  0.000
Si  0.622  0.878  0.000
Si  0.378  0.122  0.000

Sm | PBE-GGA | relaxed

Values from the calculation:
* crystal system: trigonal
* calculated volume: 102.1 Å³ per cell
* ΔE_f: 1 meV/atom
* space-group type: R-3m

Unit cell a=9.048 b=9.048 c=9.048 alpha=23.34 beta=23.34 gamma=23.34
Positions (direct):
Sm  0.000  0.000  0.000
Sm  0.222  0.222  0.222
Sm  0.778  0.778  0.778

no.,total DFT energy (no corrections) (eV/cell)
1,-108.74
2,-112.79
3,-8.49
4,-77.32
5,-81.82
6,-14.15